No. 1
BaNaB5O9 | PBE | relaxed

extended XYZ file:
```
64
Lattice="6.6677 0.0000 0.0000 0.0000 14.1530 0.0000 -2.2290 0.0000 8.2191" Properties=species:S:1:pos:R:3 pbc="T T T"
Ba 0.4420 3.0813 0.5119
Ba -0.6725 3.9952 4.6214
Ba 5.1111 10.1578 3.5977
Ba 3.9966 11.0717 7.7072
Na 2.7248 8.2212 1.1536
Na 1.6103 13.0083 5.2632
Na 2.8284 1.1447 2.9559
Na 1.7139 5.9318 7.0655
B -0.1248 0.7747 2.8648
B -1.2393 6.3018 6.9743
B -0.5302 8.6592 6.4084
B 0.5843 12.5703 2.2989
B -0.3961 0.7967 6.1919
B 0.7184 6.2799 2.0823
B 0.8580 10.5774 7.2718
B 1.9725 10.6522 3.1623
B 1.6410 9.2138 5.3007
B 2.7555 12.0158 1.1911
B 1.6832 2.1373 7.0280
B 2.7977 4.9392 2.9184
B 2.4661 3.5009 5.0568
B 3.5806 3.5756 0.9472
B 3.7203 7.8732 6.1367
B 4.8348 13.3564 2.0272
B 3.8544 1.5827 5.9202
B 4.9689 5.4938 1.8107
B 5.6780 7.8512 1.2448
B 4.5635 13.3783 5.3543
O -1.3580 1.7901 6.2841
O -0.2435 5.2864 2.1746
O 0.3458 7.5523 1.6420
O -0.7687 13.6772 5.7515
O 0.2495 2.0394 3.0711
O -0.8650 5.0371 7.1806
O -0.3277 7.3555 7.0559
O 0.7868 13.8740 2.9464
O 0.2385 8.8431 5.1967
O 1.3530 12.3865 1.0871
O -0.2216 9.7283 7.4390
O 0.8929 11.5012 3.3294
O 0.9114 0.9856 6.4797
O 2.0259 6.0909 2.3702
O 1.5719 3.3268 6.0953
O 2.6864 3.7497 1.9857
O 2.2381 9.5947 3.9984
O 1.1236 11.6348 8.1079
O 3.3151 2.5182 0.1112
O 2.2006 4.5583 4.2207
O 1.7523 10.4033 6.2333
O 2.8668 10.8262 2.1238
O 2.4128 8.0621 5.8489
O 3.5273 13.1674 1.7394
O 3.5457 2.6518 4.8896
O 4.6602 4.4247 0.7801
O 3.0856 1.7665 7.1320
O 4.2001 5.3100 3.0224
O 3.6519 0.2790 5.2727
O 4.7664 6.7975 1.1632
O 5.3037 9.1160 1.0384
O 4.1892 12.1136 5.1480
O 5.2074 0.4758 2.4676
O 4.0929 6.6007 6.5771
O 4.6822 8.8666 6.0445
O 5.7967 12.3630 1.9349
```

Computed properties:
The calculation puts the total DFT energy (no corrections) at -487.97 eV per cell. As for the magnetic moment: 0.00 μB per formula unit.

---

No. 2
BaNaScB2O6 | PBE | relaxed

extended XYZ file:
```
22
Lattice="2.6463 1.5278 11.6296 -2.6463 1.5278 11.6296 0.0000 -3.0557 11.6296" Properties=species:S:1:pos:R:3 pbc="T T T"
Ba 0.0000 0.0000 3.5994
Ba 0.0000 0.0000 31.2893
Na 0.0000 0.0000 13.2346
Na 0.0000 0.0000 21.6542
Sc 0.0000 0.0000 0.0000
Sc 0.0000 0.0000 17.4444
B 0.0000 0.0000 7.0807
B 0.0000 0.0000 10.3199
B 0.0000 0.0000 24.5688
B 0.0000 0.0000 27.8081
O -1.4489 -0.8381 16.1604
O -0.1923 -1.3771 10.3248
O -1.0964 0.8551 10.3248
O 0.0013 -1.6738 18.7284
O -1.4503 0.8358 18.7284
O -1.2887 -0.5220 24.5640
O 1.2887 0.5220 10.3248
O 1.4503 -0.8357 16.1604
O -0.0013 1.6738 16.1604
O 1.0964 -0.8551 24.5640
O 0.1923 1.3771 24.5640
O 1.4489 0.8381 18.7283
```

Computed properties:
The calculation puts the total DFT energy (no corrections) at -166.49 eV per cell. As for the magnetic moment: 0.00 μB per formula unit.

---

For reference, formation enthalpy at 0 K by record: -2.938 -3.159 eV per atom.